# 1
DFT (PBE) results for crystalline SrCaHf2O6 at its relaxed geometry.

Computed properties:
* raw total energy: -174.50 eV per cell

```
data_SrCaHf2O6
_cell_length_a 8.131
_cell_length_b 5.706
_cell_length_c 5.806
_cell_angle_alpha 90.00
_cell_angle_beta 90.00
_cell_angle_gamma 90.00
_symmetry_space_group_name_H-M 'P m c 21'
_symmetry_Int_Tables_number 26
_symmetry_space_group_name_Hall 'P 2c -2'
loop_
_atom_site_label
_atom_site_fract_x
_atom_site_fract_y
_atom_site_fract_z
_atom_site_occupancy
Sr1 0.000 0.240 0.000 1
Ca1 0.500 0.259 0.075 1
Hf1 0.255 0.249 0.535 1
O1 0.000 0.325 0.554 1
O2 0.210 0.038 0.248 1
O3 0.303 0.459 0.827 1
O4 0.500 0.152 0.503 1
```

# 2
DFT (PBE) results for crystalline La2MgCuO4 at its relaxed geometry.

Computed properties:
* polymorph energy (0 for the lowest one): 0.1129 eV per atom

```
data_La2MgCuO4
_cell_length_a 4.084
_cell_length_b 4.084
_cell_length_c 17.829
_cell_angle_alpha 90.00
_cell_angle_beta 90.00
_cell_angle_gamma 90.00
_symmetry_space_group_name_H-M 'I 4/m m m'
_symmetry_Int_Tables_number 139
_symmetry_space_group_name_Hall '-I 4 2'
loop_
_atom_site_label
_atom_site_fract_x
_atom_site_fract_y
_atom_site_fract_z
_atom_site_occupancy
La1 0.000 0.000 0.184 1
Mg1 0.000 0.000 0.000 1
Cu1 0.000 0.000 0.500 1
O1 0.000 0.500 0.000 1
O2 0.000 0.500 0.250 1
```

# 3
DFT (PBE) results for crystalline Gd3Cu2Te7 at its relaxed geometry.

Computed properties:
* raw total energy: -334.88 eV per cell

```
data_Gd3Cu2Te7
_cell_length_a 6.079
_cell_length_b 19.246
_cell_length_c 11.454
_cell_angle_alpha 90.00
_cell_angle_beta 90.00
_cell_angle_gamma 90.00
_symmetry_space_group_name_H-M 'A m a 2'
_symmetry_Int_Tables_number 40
_symmetry_space_group_name_Hall 'A 2 -2a'
loop_
_atom_site_label
_atom_site_fract_x
_atom_site_fract_y
_atom_site_fract_z
_atom_site_occupancy
Gd1 0.250 0.089 0.000 1
Gd2 0.250 0.355 0.234 1
Gd3 0.250 0.356 0.761 1
Cu1 0.250 0.222 0.569 1
Cu2 0.250 0.264 0.000 1
Te1 0.000 0.000 0.194 1
Te2 0.000 0.000 0.805 1
Te3 0.000 0.118 0.499 1
Te4 0.250 0.196 0.197 1
Te5 0.250 0.196 0.799 1
Te6 0.250 0.347 0.499 1
```

# 4
DFT (PBE) results for crystalline Na7La2Mg2P5SO24 at its relaxed geometry.

Computed properties:
* raw total energy: -814.42 eV per cell

```
data_Na7La2Mg2P5SO24
_cell_length_a 9.345
_cell_length_b 9.367
_cell_length_c 22.906
_cell_angle_alpha 90.09
_cell_angle_beta 90.24
_cell_angle_gamma 119.84
_symmetry_space_group_name_H-M 'P 1'
_symmetry_Int_Tables_number 1
_symmetry_space_group_name_Hall 'P 1'
loop_
_atom_site_label
_atom_site_fract_x
_atom_site_fract_y
_atom_site_fract_z
_atom_site_occupancy
Na1 0.000 0.000 0.000 1
Na2 0.000 0.698 0.915 1
Na3 0.007 0.372 0.501 1
Na4 0.276 0.005 0.497 1
Na5 0.278 0.644 0.998 1
Na6 0.295 0.699 0.336 1
Na7 0.298 0.331 0.075 1
Na8 0.320 0.350 0.574 1
Na9 0.336 0.663 0.665 1
Na10 0.339 0.042 0.164 1
Na11 0.625 0.667 0.168 1
Na12 0.640 0.010 0.752 1
Na13 0.640 0.643 0.503 1
Na14 0.641 0.373 0.005 1
Na15 0.666 0.032 0.252 1
Na16 0.677 0.351 0.332 1
Na17 0.681 0.711 0.828 1
Na18 0.946 0.963 0.332 1
Na19 0.957 0.346 0.833 1
Na20 0.964 0.032 0.672 1
Na21 0.971 0.670 0.418 1
La1 0.295 0.333 0.233 1
La2 0.312 0.339 0.732 1
La3 0.634 0.001 0.907 1
La4 0.639 0.005 0.409 1
La5 0.646 0.019 0.601 1
La6 0.656 0.020 0.101 1
Mg1 0.294 0.333 0.933 1
Mg2 0.305 0.339 0.431 1
Mg3 0.961 0.660 0.569 1
Mg4 0.963 0.666 0.069 1
Mg5 0.963 0.666 0.269 1
Mg6 0.975 0.673 0.769 1
P1 0.005 0.029 0.835 1
P2 0.005 0.348 0.339 1
P3 0.296 0.635 0.835 1
P4 0.297 0.029 0.335 1
P5 0.316 0.683 0.503 1
P6 0.317 0.005 0.006 1
P7 0.611 0.637 0.335 1
P8 0.636 0.328 0.497 1
P9 0.636 0.682 0.002 1
P10 0.686 0.384 0.169 1
P11 0.689 0.677 0.668 1
P12 0.963 0.330 0.997 1
P13 0.965 0.006 0.502 1
P14 0.969 0.945 0.169 1
P15 0.971 0.387 0.670 1
S1 0.247 0.942 0.667 1
S2 0.257 0.677 0.168 1
S3 0.620 0.352 0.838 1
O1 0.082 0.126 0.777 1
O2 0.083 0.317 0.285 1
O3 0.106 0.359 0.394 1
O4 0.108 0.126 0.888 1
O5 0.126 0.121 0.165 1
O6 0.131 0.368 0.667 1
O7 0.134 0.343 0.992 1
O8 0.135 0.163 0.494 1
O9 0.135 0.644 0.832 1
O10 0.138 0.856 0.332 1
O11 0.143 0.664 0.511 1
O12 0.144 0.851 0.011 1
O13 0.158 0.854 0.719 1
O14 0.165 0.859 0.612 1
O15 0.168 0.676 0.114 1
O16 0.171 0.673 0.222 1
O17 0.264 0.110 0.665 1
O18 0.284 0.126 0.388 1
O19 0.285 0.526 0.888 1
O20 0.292 0.537 0.164 1
O21 0.305 0.162 0.994 1
O22 0.308 0.515 0.496 1
O23 0.321 0.560 0.778 1
O24 0.325 0.129 0.278 1
O25 0.392 0.795 0.448 1
O26 0.406 0.968 0.956 1
O27 0.417 0.961 0.670 1
O28 0.424 0.834 0.169 1
O29 0.427 0.042 0.062 1
O30 0.435 0.772 0.556 1
O31 0.450 0.003 0.339 1
O32 0.455 0.808 0.839 1
O33 0.479 0.511 0.992 1
O34 0.480 0.344 0.492 1
O35 0.508 0.528 0.665 1
O36 0.510 0.372 0.165 1
O37 0.512 0.530 0.387 1
O38 0.513 0.567 0.277 1
O39 0.524 0.332 0.785 1
O40 0.528 0.352 0.890 1
O41 0.598 0.197 0.546 1
O42 0.600 0.765 0.055 1
O43 0.639 0.817 0.339 1
O44 0.647 0.199 0.172 1
O45 0.655 0.212 0.838 1
O46 0.669 0.837 0.671 1
O47 0.673 0.798 0.949 1
O48 0.674 0.261 0.441 1
O49 0.776 0.472 0.225 1
O50 0.777 0.469 0.113 1
O51 0.780 0.679 0.725 1
O52 0.781 0.510 0.836 1
O53 0.781 0.681 0.612 1
O54 0.783 0.649 0.333 1
O55 0.790 0.496 0.510 1
O56 0.790 0.665 0.010 1
O57 0.808 0.962 0.171 1
O58 0.823 0.204 0.672 1
O59 0.825 0.196 0.340 1
O60 0.829 0.015 0.836 1
O61 0.851 0.968 0.448 1
O62 0.854 0.261 0.942 1
O63 0.872 0.199 0.046 1
O64 0.878 0.041 0.554 1
O65 0.966 0.853 0.113 1
O66 0.968 0.858 0.226 1
O67 0.970 0.476 0.726 1
O68 0.971 0.476 0.614 1
O69 0.979 0.852 0.832 1
O70 0.980 0.499 0.010 1
O71 0.983 0.852 0.511 1
O72 0.995 0.508 0.333 1
```

# 5
DFT (PBE) results for crystalline CeB7IO15 at its relaxed geometry.

Computed properties:
* raw total energy: -700.64 eV per cell

```
data_CeB7IO15
_cell_length_a 8.215
_cell_length_b 17.478
_cell_length_c 12.783
_cell_angle_alpha 90.00
_cell_angle_beta 129.45
_cell_angle_gamma 90.00
_symmetry_space_group_name_H-M 'P 1 21/c 1'
_symmetry_Int_Tables_number 14
_symmetry_space_group_name_Hall '-P 2ybc'
loop_
_atom_site_label
_atom_site_fract_x
_atom_site_fract_y
_atom_site_fract_z
_atom_site_occupancy
Ce1 0.066 0.184 0.247 1
B1 0.070 0.749 0.524 1
B2 0.305 0.212 0.608 1
B3 0.349 0.701 0.252 1
B4 0.403 0.084 0.715 1
B5 0.419 0.556 0.273 1
B6 0.432 0.695 0.635 1
B7 0.455 0.228 0.004 1
I1 0.105 0.560 0.806 1
O1 0.011 0.583 0.365 1
O2 0.025 0.038 0.316 1
O3 0.124 0.721 0.141 1
O4 0.133 0.248 0.098 1
O5 0.216 0.718 0.516 1
O6 0.279 0.131 0.603 1
O7 0.292 0.238 0.493 1
O8 0.301 0.109 0.342 1
O9 0.363 0.704 0.373 1
O10 0.378 0.006 0.692 1
O11 0.400 0.629 0.227 1
O12 0.416 0.225 0.882 1
O13 0.452 0.614 0.657 1
O14 0.473 0.548 0.397 1
O15 0.486 0.736 0.760 1
```

# 6
DFT (PBE) results for crystalline RbCoH24C14N8 at its relaxed geometry.

Computed properties:
* raw total energy: -573.26 eV per cell

```
data_RbCoH24C14N8
_cell_length_a 8.926
_cell_length_b 8.926
_cell_length_c 12.392
_cell_angle_alpha 90.00
_cell_angle_beta 90.00
_cell_angle_gamma 90.00
_symmetry_space_group_name_H-M 'I 4/m'
_symmetry_Int_Tables_number 87
_symmetry_space_group_name_Hall '-I 4'
loop_
_atom_site_label
_atom_site_fract_x
_atom_site_fract_y
_atom_site_fract_z
_atom_site_occupancy
Rb1 0.000 0.000 0.000 1
Co1 0.000 0.000 0.500 1
H1 0.042 0.603 0.096 1
H2 0.048 0.729 0.208 1
H3 0.101 0.302 0.315 1
C1 0.000 0.000 0.348 1
C2 0.077 0.617 0.180 1
C3 0.128 0.831 0.500 1
N1 0.000 0.000 0.254 1
N2 0.000 0.500 0.250 1
N3 0.209 0.728 0.500 1
```

# 7
DFT (PBE) results for crystalline Nd2CdPd2 at its relaxed geometry.

Computed properties:
* raw total energy: -49.05 eV per cell

```
data_Nd2CdPd2
_cell_length_a 7.841
_cell_length_b 7.841
_cell_length_c 3.951
_cell_angle_alpha 90.00
_cell_angle_beta 90.00
_cell_angle_gamma 90.00
_symmetry_space_group_name_H-M 'P 4/m b m'
_symmetry_Int_Tables_number 127
_symmetry_space_group_name_Hall '-P 4 2ab'
loop_
_atom_site_label
_atom_site_fract_x
_atom_site_fract_y
_atom_site_fract_z
_atom_site_occupancy
Nd1 0.174 0.326 0.000 1
Cd1 0.000 0.000 0.500 1
Pd1 0.128 0.628 0.500 1
```

# 8
DFT (PBE) results for crystalline CaH16O10 at its relaxed geometry.

Computed properties:
* polymorph energy (0 for the lowest one): 0.0492 eV per atom

```
data_CaH16O10
_cell_length_a 6.401
_cell_length_b 6.603
_cell_length_c 10.772
_cell_angle_alpha 91.08
_cell_angle_beta 93.79
_cell_angle_gamma 92.78
_symmetry_space_group_name_H-M 'P 1'
_symmetry_Int_Tables_number 1
_symmetry_space_group_name_Hall 'P 1'
loop_
_atom_site_label
_atom_site_fract_x
_atom_site_fract_y
_atom_site_fract_z
_atom_site_occupancy
Ca1 0.000 0.000 0.000 1
Ca2 0.024 0.980 0.526 1
H1 0.037 0.626 0.383 1
H2 0.087 0.325 0.699 1
H3 0.128 0.735 0.217 1
H4 0.144 0.809 0.789 1
H5 0.229 0.411 0.884 1
H6 0.237 0.652 0.100 1
H7 0.262 0.388 0.602 1
H8 0.283 0.653 0.396 1
H9 0.297 0.168 0.197 1
H10 0.332 0.743 0.886 1
H11 0.346 0.272 0.396 1
H12 0.348 0.038 0.369 1
H13 0.370 0.895 0.701 1
H14 0.427 0.395 0.069 1
H15 0.433 0.739 0.599 1
H16 0.470 0.058 0.126 1
H17 0.554 0.053 0.903 1
H18 0.599 0.071 0.633 1
H19 0.624 0.480 0.424 1
H20 0.625 0.903 0.428 1
H21 0.626 0.309 0.627 1
H22 0.630 0.784 0.129 1
H23 0.693 0.637 0.904 1
H24 0.699 0.167 0.812 1
H25 0.705 0.928 0.258 1
H26 0.770 0.262 0.133 1
H27 0.849 0.646 0.640 1
H28 0.857 0.723 0.805 1
H29 0.887 0.337 0.344 1
H30 0.944 0.387 0.490 1
H31 0.948 0.435 0.128 1
H32 0.989 0.453 0.882 1
O1 0.085 0.341 0.868 1
O2 0.105 0.712 0.126 1
O3 0.121 0.310 0.610 1
O4 0.155 0.730 0.376 1
O5 0.253 0.870 0.851 1
O6 0.256 0.151 0.364 1
O7 0.347 0.150 0.112 1
O8 0.395 0.887 0.612 1
O9 0.443 0.560 0.920 1
O10 0.456 0.544 0.058 1
O11 0.471 0.489 0.440 1
O12 0.479 0.505 0.578 1
O13 0.677 0.924 0.154 1
O14 0.690 0.127 0.902 1
O15 0.702 0.186 0.655 1
O16 0.742 0.953 0.382 1
O17 0.843 0.687 0.897 1
O18 0.872 0.437 0.412 1
O19 0.919 0.295 0.156 1
O20 0.929 0.766 0.673 1
```

no.,mass density (g/cm3),calculated volume (Å³ per atom)
1,7.16,13.47
2,4.80,18.59
3,7.39,27.92
4,3.03,14.14
5,2.73,14.76
6,1.51,10.28
7,8.39,24.29
8,1.58,8.40